Entry 1:
ErInNi after structural relaxation. Source: the Materials Project database, functional GGA-PBE.

```
ErInNi
1.0
3.722 -6.447 0.000
3.722 6.447 0.000
0.000 0.000 3.730
Er In Ni
3 3 3
Direct
0.000 0.590 0.500
0.410 0.410 0.500
0.590 0.000 0.500
0.256 0.000 0.000
0.744 0.744 0.000
0.000 0.256 0.000
0.333 0.667 0.000
0.000 0.000 0.500
0.667 0.333 0.000
```

Results
space-group type = P-62m (189)
total DFT energy (no corrections) = -4.870 eV/atom
formation enthalpy at 0 K = -0.503 eV/atom


Entry 2:
CoSb3 after structural relaxation. Source: the Materials Project database, functional GGA-PBE.

```
CoSb3
1.0
-4.558 4.558 4.558
4.558 -4.558 4.558
4.558 4.558 -4.558
Co Sb
4 12
Direct
0.500 0.500 0.500
0.500 0.000 0.000
0.000 0.500 0.000
0.000 0.000 0.500
0.160 0.333 0.493
0.667 0.826 0.160
0.174 0.840 0.333
0.667 0.507 0.840
0.826 0.160 0.667
0.333 0.174 0.840
0.507 0.840 0.667
0.493 0.160 0.333
0.333 0.493 0.160
0.160 0.667 0.826
0.840 0.333 0.174
0.840 0.667 0.507
```

Results
space-group type = Im-3 (204)
total DFT energy (no corrections) = -5.062 eV/atom
formation enthalpy at 0 K = -0.332 eV/atom


Entry 3:
CaEuHfGaO6 after structural relaxation. Source: the Materials Project database, functional GGA-PBE.

```
CaEuHfGaO6
1.0
-3.858 1.860 -3.685
-4.826 -2.851 -0.718
-4.870 2.175 1.865
Ca Eu Hf Ga O
1 1 1 1 6
Direct
0.250 0.250 0.250
0.750 0.750 0.750
0.500 0.500 0.500
0.000 0.000 0.000
0.755 0.245 0.245
0.245 0.755 0.755
0.755 0.245 0.755
0.245 0.755 0.245
0.755 0.755 0.245
0.245 0.245 0.755
```

Results
space-group type = F-43m (216)
total DFT energy (no corrections) = -8.206 eV/atom
formation enthalpy at 0 K = -3.125 eV/atom